This record from the Materials Project database describes a relaxed structure of As2S2O9. The functional is PBE-GGA.

Cell: 6.865 6.868 17.480 Å, 90.00 95.26 90.00°
Fractional positions:
As 0.000 0.015 0.000
As 0.000 0.985 0.500
As 0.110 0.126 0.334
As 0.110 0.874 0.834
As 0.480 0.370 0.743
As 0.480 0.630 0.243
As 0.592 0.485 0.077
As 0.592 0.515 0.577
S 0.021 0.325 0.863
S 0.021 0.675 0.363
S 0.146 0.477 0.608
S 0.146 0.523 0.108
S 0.446 0.030 0.467
S 0.446 0.970 0.967
S 0.571 0.178 0.216
S 0.571 0.822 0.716
O 0.006 0.340 0.572
O 0.006 0.660 0.072
O 0.008 0.261 0.948
O 0.008 0.739 0.448
O 0.073 0.331 0.122
O 0.073 0.669 0.622
O 0.116 0.151 0.823
O 0.116 0.849 0.323
O 0.160 0.483 0.863
O 0.160 0.517 0.363
O 0.230 0.383 0.685
O 0.230 0.617 0.185
O 0.273 0.012 0.520
O 0.273 0.988 0.020
O 0.319 0.490 0.556
O 0.319 0.510 0.056
O 0.359 0.135 0.393
O 0.359 0.865 0.893
O 0.423 0.028 0.218
O 0.423 0.972 0.718
O 0.495 0.357 0.260
O 0.495 0.643 0.760
O 0.517 0.160 0.949
O 0.517 0.840 0.449
O 0.577 0.242 0.131
O 0.577 0.758 0.631
O 0.587 0.161 0.507
O 0.587 0.839 0.007
O 0.623 0.367 0.662
O 0.623 0.633 0.162
O 0.766 0.129 0.247
O 0.766 0.871 0.747
O 0.826 0.361 0.828
O 0.826 0.639 0.328
O 0.965 0.129 0.414
O 0.965 0.871 0.914

- SG = Pc, No. 7
- magnetization (μB per cell) = 0.0
- ΔH_f (0 K) (eV/atom) = -1.680
- volume (Å³/cell) = 821

This record from the Materials Project database describes a relaxed structure of SrZnAsHO5. The functional is PBE-GGA.

Cell: 6.139 7.768 9.425 Å, 90.00 90.00 90.00°
Fractional positions:
Sr 0.028 0.134 0.168
Sr 0.472 0.866 0.668
Sr 0.528 0.366 0.832
Sr 0.972 0.634 0.332
Zn 0.234 0.265 0.510
Zn 0.266 0.735 0.010
Zn 0.734 0.235 0.490
Zn 0.766 0.765 0.990
As 0.014 0.621 0.683
As 0.486 0.379 0.183
As 0.514 0.879 0.317
As 0.986 0.121 0.817
H 0.010 0.003 0.487
H 0.490 0.997 0.987
H 0.510 0.497 0.513
H 0.990 0.503 0.013
O 0.003 0.113 0.434
O 0.010 0.945 0.932
O 0.067 0.791 0.571
O 0.229 0.143 0.726
O 0.241 0.608 0.791
O 0.259 0.392 0.291
O 0.271 0.857 0.226
O 0.433 0.209 0.071
O 0.490 0.055 0.432
O 0.497 0.887 0.934
O 0.503 0.387 0.566
O 0.510 0.555 0.068
O 0.567 0.709 0.429
O 0.729 0.357 0.274
O 0.741 0.892 0.209
O 0.759 0.108 0.709
O 0.771 0.643 0.774
O 0.933 0.291 0.929
O 0.990 0.445 0.568
O 0.997 0.613 0.066

- SG = P2_12_12_1, No. 19
- magnetization (μB per cell) = 0.0
- ΔH_f (0 K) (eV/atom) = -2.171
- volume (Å³/cell) = 449

This record from the Materials Project database describes a relaxed structure of VPt8. The functional is PBE-GGA.

Cell: 6.253 6.253 6.253 Å, 95.67 95.67 143.37°
Fractional positions:
V 0.000 0.000 0.000
Pt 0.000 0.328 0.328
Pt 0.000 0.672 0.672
Pt 0.328 0.000 0.328
Pt 0.339 0.339 0.679
Pt 0.339 0.661 0.000
Pt 0.661 0.339 0.000
Pt 0.661 0.661 0.321
Pt 0.672 0.000 0.672

- SG = I4/mmm, No. 139
- ΔH_f (0 K) (eV/atom) = -0.260
- volume (Å³/cell) = 138

Which VASP energy belongs to each record? In order, -311.1 -207.4 -60.0 eV for the cell shown.